Ba2SrFeO6 | PBE with a Hubbard U | relaxed

Lattice parameters (Å, degrees): 8.563 8.563 8.563 90.00 90.00 90.00
Atoms (fractional coordinates):
1 Ba 0.500 0.500 0.500
2 Ba 0.000 0.000 0.000
3 Ba 0.000 0.000 0.500
4 Ba 0.000 0.500 0.000
5 Ba 0.500 0.000 0.000
6 Ba 0.500 0.500 0.000
7 Ba 0.500 0.000 0.500
8 Ba 0.000 0.500 0.500
9 Sr 0.250 0.250 0.250
10 Sr 0.250 0.750 0.750
11 Sr 0.750 0.250 0.750
12 Sr 0.750 0.750 0.250
13 Fe 0.750 0.750 0.750
14 Fe 0.750 0.250 0.250
15 Fe 0.250 0.750 0.250
16 Fe 0.250 0.250 0.750
17 O 0.234 0.267 0.530
18 O 0.234 0.733 0.470
19 O 0.766 0.267 0.470
20 O 0.766 0.733 0.530
21 O 0.267 0.530 0.234
22 O 0.733 0.470 0.234
23 O 0.267 0.470 0.766
24 O 0.733 0.530 0.766
25 O 0.530 0.234 0.267
26 O 0.470 0.234 0.733
27 O 0.470 0.766 0.267
28 O 0.530 0.766 0.733
29 O 0.266 0.233 0.970
30 O 0.266 0.767 0.030
31 O 0.734 0.233 0.030
32 O 0.734 0.767 0.970
33 O 0.233 0.970 0.266
34 O 0.767 0.030 0.266
35 O 0.233 0.030 0.734
36 O 0.767 0.970 0.734
37 O 0.970 0.266 0.233
38 O 0.030 0.266 0.767
39 O 0.030 0.734 0.233
40 O 0.970 0.734 0.767

Values from the calculation:
Formation energy ... -2.2765 eV/atom
Total magnetization ... 0.200 μB per atom